# Hf9BW4 PBE-GGA relaxed
# E_form	-0.16	eV/atom
# calculated total energy	-10.743	eV/atom
# magnetic moment	0.10	Bohr magnetons per cell
data_Hf9BW4
_space_group_name_H-M_alt 'P 63/m m c'
_space_group_IT_number 194
_space_group_name_Hall '-P 6c 2c'
_cell_length_a 8.5855
_cell_length_b 8.5855
_cell_length_c 8.5457
_cell_angle_alpha 90.00
_cell_angle_beta 90.00
_cell_angle_gamma 120.00
loop_
_atom_site_label
_atom_site_type_symbol
_atom_site_fract_x
_atom_site_fract_y
_atom_site_fract_z
Hf1 Hf 0.0777 0.5388 0.2500
Hf2 Hf 0.2030 0.4060 0.5554
B1 B 0.3333 0.6667 0.7500
W1 W 0.0000 0.0000 0.0000
W2 W 0.1115 0.2229 0.2500